Entry 1:
Entry from Materials Project: a relaxed ZnO2 crystal (PBE).

Geometry as POSCAR:
```
ZnO2
1.0
5.3427 0.0000 0.0000
0.0000 3.5624 0.0000
0.0000 0.3289 7.0965
O Zn
8 4
Cartesian
5.0880 0.9258 0.6560
5.2166 0.8123 5.2004
2.7854 0.7384 1.6204
0.2728 2.7888 2.8972
2.5453 3.0790 1.8961
2.9441 1.1025 4.1992
0.1141 3.1529 5.4761
2.4166 2.9656 6.4405
2.0218 2.8580 4.2336
0.6620 2.6793 0.6955
4.6932 1.0333 2.8629
3.3334 1.2120 6.4010
```

Results
Volume ... 135.07 Å³/cell
Space-group type ... No. 4
Energy of formation from the pure elements ... -0.733 eV/atom
Calculated total energy ... -4.34 eV per atom

Entry 2:
Entry from Materials Project: a relaxed ZnO crystal (PBE).

Geometry as POSCAR:
```
ZnO
1.0
0.6296 1.1713 2.9163
-2.0790 1.5075 -1.9180
-4.1192 -3.0108 2.0986
O Zn
2 2
Cartesian
-2.7664 0.2331 0.5036
-3.9231 -1.3843 3.1643
-0.0047 -0.0034 0.0024
-2.0643 -1.5088 1.0517
```

Results
Volume ... 49.08 Å³/cell
Space-group type ... No. 186
Energy of formation from the pure elements ... -1.491 eV/atom
Calculated total energy ... -4.25 eV per atom

Entry 3:
Entry from Materials Project: a relaxed ZnO crystal (PBE).

Geometry as POSCAR:
```
ZnO
1.0
2.7658 1.1895 1.3242
-1.7036 -2.3344 1.5705
2.8091 -3.7382 -2.5093
O Zn
2 2
Cartesian
1.5285 -3.4784 -0.0680
1.6138 -0.4346 1.1046
2.5938 -4.8959 -1.0196
2.6790 -1.8522 0.1530
```

Results
Volume ... 49.72 Å³/cell
Space-group type ... No. 186
Energy of formation from the pure elements ... -1.791 eV/atom
Calculated total energy ... -4.55 eV per atom
Maximum piezoelectric response ... 1.29 C/m²

Entry 4:
Entry from Materials Project: a relaxed ZnO crystal (PBE).

Geometry as POSCAR:
```
ZnO
1.0
2.6919 0.0000 0.0000
0.0000 2.6919 0.0000
0.0000 0.0000 2.6919
O Zn
1 1
Cartesian
1.3459 1.3459 1.3459
0.0000 0.0000 0.0000
```

Results
Volume ... 19.51 Å³/cell
Space-group type ... No. 221
Energy of formation from the pure elements ... -1.074 eV/atom
Calculated total energy ... -3.83 eV per atom

Entry 5:
Entry from Materials Project: a relaxed ZnO crystal (PBE).

Geometry as POSCAR:
```
ZnO
1.0
1.5277 -2.6461 0.0000
1.5277 2.6461 0.0000
0.0000 0.0000 30.4099
O Zn
12 12
Cartesian
0.0000 0.0000 11.4415
1.5277 -0.8820 1.2550
0.0000 0.0000 3.7635
1.5277 -0.8820 21.4742
0.0000 0.0000 18.9685
1.5277 0.8820 16.4599
1.5277 -0.8820 13.9500
1.5277 -0.8820 24.1407
1.5277 0.8820 8.9357
1.5277 0.8820 6.2692
1.5277 0.8820 29.1549
0.0000 0.0000 26.6464
1.5277 0.8820 20.2245
1.5277 -0.8820 10.1854
0.0000 0.0000 0.0000
1.5277 -0.8820 27.9002
1.5277 -0.8820 5.0195
1.5277 0.8820 12.6953
1.5277 0.8820 25.3904
0.0000 0.0000 15.2050
1.5277 0.8820 2.5097
0.0000 0.0000 7.6025
0.0000 0.0000 22.8074
1.5277 -0.8820 17.7146
```

Results
Volume ... 245.87 Å³/cell
Space-group type ... No. 194
Energy of formation from the pure elements ... -1.618 eV/atom
Calculated total energy ... -4.38 eV per atom

Entry 6:
Entry from Materials Project: a relaxed ZnO crystal (PBE).

Geometry as POSCAR:
```
ZnO
1.0
5.6379 0.0000 0.0000
0.0000 5.6379 0.0000
0.0000 0.0000 3.2790
O Zn
4 4
Cartesian
1.7998 1.7998 0.0000
3.8381 3.8381 0.0000
1.0192 4.6188 1.6395
4.6188 1.0192 1.6395
3.8409 1.7970 0.0000
1.7970 3.8409 0.0000
4.6160 4.6160 1.6395
1.0219 1.0219 1.6395
```

Results
Volume ... 104.23 Å³/cell
Space-group type ... No. 136
Energy of formation from the pure elements ... -1.768 eV/atom
Calculated total energy ... -4.53 eV per atom

Entry 7:
Entry from Materials Project: a relaxed ZnO2 crystal (PBE).

Geometry as POSCAR:
```
ZnO2
1.0
-1.2129 -0.4257 3.7061
-2.9155 -0.8077 -1.0470
2.7369 -9.6095 -0.2080
O Zn
8 4
Cartesian
0.4927 -3.3635 1.1420
1.1058 -4.0293 -0.0508
-2.4557 -1.6182 3.1123
-0.8139 -8.8952 -0.5791
-0.6187 -7.1430 2.4201
-0.9708 -9.8312 0.5789
-1.8432 -2.2841 1.9194
-0.4624 -6.2072 1.2618
-1.2733 -4.3277 1.8993
-0.0266 -9.1792 2.3519
-0.0830 -1.3215 1.1600
-1.4002 -6.8573 -0.5088
```

Results
Volume ... 125.50 Å³/cell
Space-group type ... No. 19
Energy of formation from the pure elements ... -1.026 eV/atom
Calculated total energy ... -4.43 eV per atom

Entry 8:
Entry from Materials Project: a relaxed ZnO crystal (PBE).

Geometry as POSCAR:
```
ZnO
1.0
-7.9224 6.7893 0.4384
-5.9670 -7.0792 -3.7171
-3.2357 -2.7879 9.9107
Zn O
40 40
Cartesian
-6.5722 -5.3510 1.1832
-7.3027 -4.0964 6.7005
-4.4331 -3.3043 1.7217
-13.5593 -1.0048 3.5837
-5.1493 -5.2154 4.3134
-11.3834 -6.4002 3.8932
-11.1736 -0.6398 5.8336
-2.3550 -1.4114 4.9247
-10.0647 -0.3365 8.7652
-4.5213 -0.3577 2.4994
-9.9524 -3.8648 0.2300
-2.2350 -1.8104 -0.9165
-9.6659 -6.6933 6.4418
-9.3614 -0.2902 -1.5520
-10.0185 -3.5657 -3.3509
-6.8219 -2.7945 3.3822
-9.6874 4.9393 2.5967
-4.1945 -2.2101 8.1175
-13.5971 -1.3439 0.4222
-13.3554 -0.2106 7.3718
-11.5427 -3.3124 3.0174
-8.1856 3.1648 5.8767
-11.1793 2.2773 7.0594
-7.4560 -1.9153 9.0878
-9.6722 1.8876 4.0374
-9.4226 -1.6124 3.9682
-6.3675 1.1794 4.5233
-7.8915 -0.3032 6.5066
-8.0453 -0.3077 1.6416
-5.0227 -3.3784 -1.3245
-7.6387 -2.7243 -0.2660
-8.1761 -5.5506 -1.4138
-11.3986 0.1624 2.1560
-5.1406 -2.0288 5.3232
-10.3987 -3.7141 6.0405
-13.5810 -2.8767 5.6146
-5.9026 1.7020 1.2709
-10.0323 2.0782 0.6672
-12.3228 0.4781 -1.3566
-6.9442 5.2423 0.6575
-3.8776 1.0302 1.1939
-6.6853 -7.3699 1.5866
-8.2215 -4.6726 0.4626
-6.3200 -3.7452 5.0205
-8.6400 -1.1207 -0.0141
-10.0880 -7.4857 4.8381
-9.2891 -1.5455 5.8563
-6.1671 0.8061 -0.5230
-4.9837 -2.1308 3.2153
-7.2576 0.0891 8.3868
-6.2230 -2.9450 8.0403
-6.4449 0.4984 2.6654
-10.3293 1.3702 -1.0380
-2.6781 -2.8990 0.7753
-9.5541 1.0483 2.2455
-12.0180 -0.2908 0.4355
-9.1782 3.8780 4.3475
-9.1394 -4.8639 6.9588
-11.3720 0.3463 7.6263
-8.2007 1.3264 5.3408
-14.6256 -3.3543 7.1120
-6.0714 3.4888 0.4767
-3.4357 -2.4992 6.1831
-2.6734 -0.4155 3.2106
-7.9645 5.6822 2.2386
-11.3312 -1.3217 3.4804
-10.8846 -4.5498 4.3133
-8.9094 -3.4686 -1.8024
-8.3132 -2.1021 2.5621
-5.8530 -3.2028 0.3723
-11.5142 2.7774 9.0616
-5.9070 -0.2893 5.8340
-13.5762 -3.0145 3.6939
-11.5966 -4.0410 1.1372
-6.5977 -5.6637 7.7500
-6.0111 -5.0788 -1.9304
-4.9391 -5.1708 2.3120
-11.8733 -2.5719 6.5628
-13.4882 -0.3183 5.4075
-11.1571 1.4328 5.2234
```

Results
Volume ... 1118.34 Å³/cell
Space-group type ... No. 1
Energy of formation from the pure elements ... -1.542 eV/atom
Calculated total energy ... -4.30 eV per atom